The following is a PBE calculation of a relaxed Hg6MoAs4Cl7 crystal, from the Materials Project database.

Geometry as extended XYZ:
```
72
Lattice="12.4580 0.0000 0.0000 0.0000 12.4580 0.0000 0.0000 0.0000 12.4580" Properties=species:S:1:pos:R:3 pbc="T T T"
Hg 0.5682 2.3341 8.7087
Hg 0.5682 3.8949 2.4797
Hg 2.3341 8.7087 0.5682
Hg 2.3341 9.9782 6.7972
Hg 2.4797 0.5682 3.8949
Hg 2.4797 5.6607 10.1239
Hg 3.7493 6.7972 3.8949
Hg 3.7493 11.8897 10.1239
Hg 3.8949 2.4797 0.5682
Hg 3.8949 3.7493 6.7972
Hg 5.6607 8.5630 8.7087
Hg 5.6607 10.1239 2.4797
Hg 6.7972 2.3341 9.9782
Hg 6.7972 3.8949 3.7493
Hg 8.5630 8.7087 5.6607
Hg 8.5630 9.9782 11.8897
Hg 8.7087 0.5682 2.3341
Hg 8.7087 5.6607 8.5630
Hg 9.9782 6.7972 2.3341
Hg 9.9782 11.8897 8.5630
Hg 10.1239 2.4797 5.6607
Hg 10.1239 3.7493 11.8897
Hg 11.8897 8.5630 9.9782
Hg 11.8897 10.1239 3.7493
Mo 0.0000 0.0000 0.0000
Mo 0.0000 6.2290 6.2290
Mo 6.2290 0.0000 6.2290
Mo 6.2290 6.2290 0.0000
As 1.8884 8.1174 10.5695
As 1.8884 10.5695 4.3406
As 2.9041 2.9041 2.9041
As 2.9041 3.3249 9.1331
As 3.3249 9.1331 2.9041
As 3.3249 9.5538 9.1331
As 4.3406 1.8884 10.5695
As 4.3406 4.3406 4.3406
As 8.1174 8.1174 8.1174
As 8.1174 10.5695 1.8884
As 9.1331 2.9041 3.3249
As 9.1331 3.3249 9.5538
As 9.5538 9.1331 3.3249
As 9.5538 9.5538 9.5538
As 10.5695 1.8884 8.1174
As 10.5695 4.3406 1.8884
Cl 0.0000 0.0000 6.2290
Cl 0.0000 6.2290 0.0000
Cl 0.4751 6.7795 3.8944
Cl 0.4751 11.9074 10.1234
Cl 0.5506 2.3346 11.9828
Cl 0.5506 3.8944 5.7538
Cl 2.3346 6.7041 6.7795
Cl 2.3346 11.9828 0.5506
Cl 3.8944 0.4751 6.7795
Cl 3.8944 5.7538 0.5506
Cl 5.6784 8.5635 11.9828
Cl 5.6784 10.1234 5.7538
Cl 5.7538 0.5506 3.8944
Cl 5.7538 5.6784 10.1234
Cl 6.2290 0.0000 0.0000
Cl 6.2290 6.2290 6.2290
Cl 6.7041 6.7795 2.3346
Cl 6.7041 11.9074 8.5635
Cl 6.7795 2.3346 6.7041
Cl 6.7795 3.8944 0.4751
Cl 8.5635 6.7041 11.9074
Cl 8.5635 11.9828 5.6784
Cl 10.1234 0.4751 11.9074
Cl 10.1234 5.7538 5.6784
Cl 11.9074 8.5635 6.7041
Cl 11.9074 10.1234 0.4751
Cl 11.9828 0.5506 2.3346
Cl 11.9828 5.6784 8.5635
```

Output
Final energy in eV/atom: -2.9095
E_form in meV/atom: -690

The following is a PBE calculation of a relaxed Na2HgAsCl6 crystal, from the Materials Project database.

Geometry as extended XYZ:
```
10
Lattice="0.0000 5.3005 5.3005 5.3005 0.0000 5.3005 5.3005 5.3005 0.0000" Properties=species:S:1:pos:R:3 pbc="T T T"
Na 2.6502 2.6502 2.6502
Na 7.9507 7.9507 7.9507
Hg 0.0000 0.0000 0.0000
As 5.3005 5.3005 5.3005
Cl 5.3005 5.3005 2.7921
Cl 5.3005 2.7921 5.3005
Cl 7.8088 5.3005 5.3005
Cl 2.7921 5.3005 5.3005
Cl 5.3005 7.8088 5.3005
Cl 5.3005 5.3005 7.8088
```

Output
Final energy in eV/atom: -2.7537
E_form in meV/atom: -1252

The following is a PBE calculation of a relaxed TiHg6As4Cl7 crystal, from the Materials Project database.

Geometry as extended XYZ:
```
72
Lattice="12.5377 0.0000 0.0000 0.0000 12.5377 0.0000 0.0000 0.0000 12.5377" Properties=species:S:1:pos:R:3 pbc="T T T"
Ti 0.0000 0.0000 0.0000
Ti 0.0000 6.2688 6.2688
Ti 6.2688 0.0000 6.2688
Ti 6.2688 6.2688 0.0000
Hg 0.5854 2.3601 8.7215
Hg 0.5854 3.9087 2.4527
Hg 2.3601 8.7215 0.5854
Hg 2.3601 10.0850 6.8542
Hg 2.4527 0.5854 3.9087
Hg 2.4527 5.6835 10.1776
Hg 3.8162 6.8542 3.9087
Hg 3.8162 11.9523 10.1776
Hg 3.9087 2.4527 0.5854
Hg 3.9087 3.8162 6.8542
Hg 5.6835 8.6290 8.7215
Hg 5.6835 10.1776 2.4527
Hg 6.8542 2.3601 10.0850
Hg 6.8542 3.9087 3.8162
Hg 8.6290 8.7215 5.6835
Hg 8.6290 10.0850 11.9523
Hg 8.7215 0.5854 2.3601
Hg 8.7215 5.6835 8.6290
Hg 10.0850 6.8542 2.3601
Hg 10.0850 11.9523 8.6290
Hg 10.1776 2.4527 5.6835
Hg 10.1776 3.8162 11.9523
Hg 11.9523 8.6290 10.0850
Hg 11.9523 10.1776 3.8162
As 1.8843 8.1532 10.6533
As 1.8843 10.6533 4.3845
As 2.9317 2.9317 2.9317
As 2.9317 3.3371 9.2006
As 3.3371 9.2006 2.9317
As 3.3371 9.6059 9.2006
As 4.3845 1.8843 10.6533
As 4.3845 4.3845 4.3845
As 8.1532 8.1532 8.1532
As 8.1532 10.6533 1.8843
As 9.2006 2.9317 3.3371
As 9.2006 3.3371 9.6059
As 9.6059 9.2006 3.3371
As 9.6059 9.6059 9.6059
As 10.6533 1.8843 8.1532
As 10.6533 4.3845 1.8843
Cl 0.0000 0.0000 6.2688
Cl 0.0000 6.2688 0.0000
Cl 0.4611 6.8249 3.9922
Cl 0.4611 11.9816 10.2611
Cl 0.5560 2.2766 12.0765
Cl 0.5560 3.9922 5.8077
Cl 2.2766 6.7300 6.8249
Cl 2.2766 12.0765 0.5560
Cl 3.9922 0.4611 6.8249
Cl 3.9922 5.8077 0.5560
Cl 5.7128 8.5455 12.0765
Cl 5.7128 10.2611 5.8077
Cl 5.8077 0.5560 3.9922
Cl 5.8077 5.7128 10.2611
Cl 6.2688 0.0000 0.0000
Cl 6.2688 6.2688 6.2688
Cl 6.7300 6.8249 2.2766
Cl 6.7300 11.9816 8.5455
Cl 6.8249 2.2766 6.7300
Cl 6.8249 3.9922 0.4611
Cl 8.5455 6.7300 11.9816
Cl 8.5455 12.0765 5.7128
Cl 10.2611 0.4611 11.9816
Cl 10.2611 5.8077 5.7128
Cl 11.9816 8.5455 6.7300
Cl 11.9816 10.2611 0.4611
Cl 12.0765 0.5560 2.2766
Cl 12.0765 5.7128 8.5455
```

Output
Final energy in eV/atom: -2.9156
E_form in meV/atom: -860